The following is a DFT calculation (PBE+U) of Ba2TiMn2Si2PO13 after structural relaxation.

- energy of formation from the pure elements (eV per formula unit) = -64.2
- total energy after the MP2020 corrections (eV per atom) = -8.325

Lattice parameters (Å, degrees): 5.458 7.111 15.045 84.27 88.29 89.80
Sites, in units of the cell vectors:
O (0.012, 0.166, 0.055)
O (0.810, 0.972, 0.575)
O (0.043, 0.390, 0.726)
O (0.544, 0.013, 0.729)
O (0.527, 0.838, 0.944)
O (0.543, 0.391, 0.725)
O (0.988, 0.834, 0.945)
O (0.473, 0.162, 0.056)
O (0.457, 0.609, 0.275)
O (0.456, 0.987, 0.271)
O (0.742, 0.687, 0.080)
O (0.957, 0.610, 0.274)
O (0.756, 0.533, 0.929)
O (0.810, 0.501, 0.573)
O (0.956, 0.988, 0.270)
O (0.635, 0.259, 0.456)
O (0.198, 0.296, 0.284)
O (0.258, 0.313, 0.920)
O (0.802, 0.704, 0.716)
O (0.190, 0.028, 0.425)
O (0.365, 0.741, 0.544)
O (0.044, 0.012, 0.730)
O (0.190, 0.499, 0.427)
O (0.708, 0.774, 0.418)
O (0.244, 0.467, 0.071)
O (0.292, 0.226, 0.582)
Mn (0.500, 0.500, 0.500)
Mn (0.986, 0.248, 0.499)
Mn (0.014, 0.752, 0.501)
Mn (0.500, 0.000, 0.500)
Si (0.798, 0.933, 0.687)
Si (0.203, 0.511, 0.315)
Si (0.797, 0.489, 0.685)
Si (0.202, 0.067, 0.313)
P (0.247, 0.282, 0.024)
P (0.753, 0.718, 0.976)
Ba (0.762, 0.176, 0.901)
Ba (0.238, 0.824, 0.099)
Ba (0.275, 0.659, 0.835)
Ba (0.725, 0.341, 0.165)
Ti (0.293, 0.205, 0.700)
Ti (0.707, 0.795, 0.300)



The following is a DFT calculation (PBE+U) of YCrW2O8 after structural relaxation.

- energy of formation from the pure elements (eV per formula unit) = -30.7
- total energy after the MP2020 corrections (eV per atom) = -9.363

Lattice parameters (Å, degrees): 5.306 5.731 9.765 90.00 92.55 90.00
Sites, in units of the cell vectors:
O (0.579, 0.116, 0.904)
O (0.565, 0.105, 0.386)
O (0.421, 0.884, 0.096)
O (0.935, 0.105, 0.114)
O (0.577, 0.644, 0.858)
O (0.423, 0.356, 0.142)
O (0.628, 0.610, 0.374)
O (0.065, 0.895, 0.886)
O (0.435, 0.895, 0.614)
O (0.372, 0.390, 0.626)
O (0.872, 0.610, 0.126)
O (0.077, 0.356, 0.358)
O (0.128, 0.390, 0.874)
O (0.079, 0.884, 0.404)
O (0.921, 0.116, 0.596)
O (0.923, 0.644, 0.642)
W (0.749, 0.839, 0.503)
W (0.751, 0.839, 0.997)
W (0.251, 0.161, 0.497)
W (0.249, 0.161, 0.003)
Cr (0.750, 0.332, 0.250)
Cr (0.250, 0.668, 0.750)
Y (0.750, 0.338, 0.750)
Y (0.250, 0.662, 0.250)



The following is a DFT calculation (PBE+U) of FeTeO5 after structural relaxation.

- energy of formation from the pure elements (eV per formula unit) = -5.9
- total energy after the MP2020 corrections (eV per atom) = -6.032

Lattice parameters (Å, degrees): 9.739 8.010 10.406 76.19 90.00 90.00
Sites, in units of the cell vectors:
Te (0.783, 0.034, 0.346)
Te (0.283, 0.466, 0.654)
Te (0.334, 0.497, 0.295)
Te (0.166, 0.997, 0.295)
Te (0.666, 0.503, 0.705)
Te (0.834, 0.003, 0.705)
Te (0.717, 0.534, 0.346)
Te (0.217, 0.966, 0.654)
O (0.543, 0.680, 0.636)
O (0.503, 0.869, 0.942)
O (0.206, 0.306, 0.840)
O (0.638, 0.040, 0.687)
O (0.844, 0.248, 0.376)
O (0.497, 0.131, 0.058)
O (0.945, 0.818, 0.793)
O (0.043, 0.820, 0.364)
O (0.642, 0.075, 0.099)
O (0.957, 0.180, 0.636)
O (0.794, 0.694, 0.160)
O (0.344, 0.252, 0.624)
O (0.650, 0.401, 0.547)
O (0.457, 0.320, 0.364)
O (0.055, 0.182, 0.207)
O (0.858, 0.575, 0.099)
O (0.198, 0.934, 0.130)
O (0.350, 0.599, 0.453)
O (0.138, 0.460, 0.313)
O (0.850, 0.901, 0.547)
O (0.555, 0.318, 0.793)
O (0.362, 0.960, 0.313)
O (0.605, 0.042, 0.426)
O (0.862, 0.540, 0.687)
O (0.698, 0.566, 0.870)
O (0.156, 0.752, 0.624)
O (0.895, 0.542, 0.426)
O (0.997, 0.369, 0.942)
O (0.105, 0.458, 0.574)
O (0.358, 0.925, 0.901)
O (0.302, 0.434, 0.130)
O (0.802, 0.066, 0.870)
O (0.395, 0.958, 0.574)
O (0.706, 0.194, 0.160)
O (0.150, 0.099, 0.453)
O (0.003, 0.631, 0.058)
O (0.142, 0.425, 0.901)
O (0.294, 0.806, 0.840)
O (0.656, 0.748, 0.376)
O (0.445, 0.682, 0.207)
Fe (0.014, 0.318, 0.458)
Fe (0.609, 0.089, 0.886)
Fe (0.109, 0.411, 0.114)
Fe (0.391, 0.911, 0.114)
Fe (0.891, 0.589, 0.886)
Fe (0.986, 0.682, 0.542)
Fe (0.486, 0.818, 0.458)
Fe (0.514, 0.182, 0.542)



The following is a DFT calculation (PBE+U) of RbSmMo2O8 after structural relaxation.

- energy of formation from the pure elements (eV per formula unit) = -30.5
- total energy after the MP2020 corrections (eV per atom) = -8.119

Lattice parameters (Å, degrees): 5.223 8.308 18.952 90.00 90.00 90.00
Sites, in units of the cell vectors:
O (0.273, 0.342, 0.901)
O (0.899, 0.026, 0.687)
O (0.747, 0.997, 0.037)
O (0.247, 0.503, 0.537)
O (0.227, 0.342, 0.401)
O (0.253, 0.003, 0.963)
O (0.753, 0.497, 0.463)
O (0.273, 0.842, 0.099)
O (0.101, 0.974, 0.313)
O (0.773, 0.658, 0.599)
O (0.247, 0.003, 0.463)
O (0.899, 0.526, 0.313)
O (0.253, 0.503, 0.037)
O (0.773, 0.158, 0.401)
O (0.240, 0.686, 0.408)
O (0.740, 0.314, 0.092)
O (0.760, 0.814, 0.408)
O (0.727, 0.158, 0.901)
O (0.747, 0.497, 0.963)
O (0.760, 0.314, 0.592)
O (0.740, 0.814, 0.908)
O (0.260, 0.686, 0.908)
O (0.753, 0.997, 0.537)
O (0.227, 0.842, 0.599)
O (0.601, 0.026, 0.187)
O (0.727, 0.658, 0.099)
O (0.399, 0.474, 0.187)
O (0.399, 0.974, 0.813)
O (0.260, 0.186, 0.092)
O (0.101, 0.474, 0.687)
O (0.240, 0.186, 0.592)
O (0.601, 0.526, 0.813)
Rb (0.000, 0.750, 0.769)
Rb (0.500, 0.250, 0.731)
Rb (0.000, 0.250, 0.231)
Rb (0.500, 0.750, 0.269)
Mo (0.023, 0.516, 0.399)
Mo (0.477, 0.516, 0.899)
Mo (0.523, 0.484, 0.101)
Mo (0.977, 0.484, 0.601)
Mo (0.023, 0.016, 0.601)
Mo (0.523, 0.984, 0.899)
Mo (0.477, 0.016, 0.101)
Mo (0.977, 0.984, 0.399)
Sm (0.000, 0.250, 0.994)
Sm (0.000, 0.750, 0.006)
Sm (0.500, 0.250, 0.494)
Sm (0.500, 0.750, 0.506)



The following is a DFT calculation (PBE+U) of V4O5F7 after structural relaxation.

- energy of formation from the pure elements (eV per formula unit) = -43.9
- total energy after the MP2020 corrections (eV per atom) = -7.398

Lattice parameters (Å, degrees): 5.368 5.368 8.990 73.46 73.46 57.72
Sites, in units of the cell vectors:
F (0.710, 0.290, 0.500)
F (0.332, 0.663, 0.707)
F (0.672, 0.823, 0.049)
F (0.783, 0.714, 0.757)
F (0.337, 0.668, 0.293)
F (0.177, 0.328, 0.951)
F (0.286, 0.217, 0.243)
O (0.218, 0.782, 0.000)
O (0.833, 0.158, 0.800)
O (0.842, 0.167, 0.200)
O (0.656, 0.848, 0.459)
O (0.152, 0.344, 0.541)
V (0.788, 0.487, 0.621)
V (0.513, 0.212, 0.379)
V (0.995, 0.793, 0.878)
V (0.207, 0.005, 0.122)



The following is a DFT calculation (PBE+U) of HoZnNi2O6 after structural relaxation.

- energy of formation from the pure elements (eV per formula unit) = -17.5
- total energy after the MP2020 corrections (eV per atom) = -6.462

Lattice parameters (Å, degrees): 5.119 5.390 7.435 90.00 90.00 90.00
Sites, in units of the cell vectors:
Ni (0.498, 0.757, 0.750)
Ni (0.998, 0.243, 0.750)
Ni (0.498, 0.757, 0.250)
Ni (0.998, 0.243, 0.250)
Ho (0.518, 0.323, 0.500)
Ho (0.018, 0.677, 0.000)
O (0.607, 0.809, 0.000)
O (0.812, 0.559, 0.309)
O (0.863, 0.283, 0.000)
O (0.363, 0.717, 0.500)
O (0.312, 0.441, 0.809)
O (0.812, 0.559, 0.691)
O (0.708, 0.038, 0.681)
O (0.208, 0.962, 0.819)
O (0.208, 0.962, 0.181)
O (0.107, 0.191, 0.500)
O (0.708, 0.038, 0.319)
O (0.312, 0.441, 0.191)
Zn (0.976, 0.808, 0.500)
Zn (0.476, 0.192, 0.000)



The following is a DFT calculation (PBE+U) of VP2O6 after structural relaxation.

- energy of formation from the pure elements (eV per formula unit) = -15.2
- total energy after the MP2020 corrections (eV per atom) = -7.200

Lattice parameters (Å, degrees): 7.334 7.334 8.228 62.83 62.83 67.18
Sites, in units of the cell vectors:
O (0.629, 0.098, 0.533)
O (0.066, 0.666, 0.688)
O (0.559, 0.441, 0.250)
O (0.098, 0.629, 0.033)
O (0.371, 0.902, 0.467)
O (0.441, 0.559, 0.750)
O (0.000, 0.000, 0.250)
O (0.334, 0.934, 0.812)
O (0.000, 0.000, 0.750)
O (0.902, 0.371, 0.967)
O (0.934, 0.334, 0.312)
O (0.666, 0.066, 0.188)
P (0.067, 0.490, 0.245)
P (0.490, 0.067, 0.745)
P (0.510, 0.933, 0.255)
P (0.933, 0.510, 0.755)
V (0.237, 0.763, 0.750)
V (0.763, 0.237, 0.250)



Number 1: raw total energy -7.74 eV/atom. Number 2: raw total energy -8.00 eV/atom. Number 3: raw total energy -5.59 eV/atom. Number 4: raw total energy -7.13 eV/atom. Number 5: raw total energy -6.56 eV/atom. Number 6: raw total energy -5.54 eV/atom. Number 7: raw total energy -6.55 eV/atom.